No. 1
Below is a relaxed Ti45Se16 crystal, with properties calculated at the PBE level.

Output
Theoretical density = 5.62 g/cm³
E above lowest polymorph = 4.09 kcal/mol of atoms
DFT formation energy = -0.6015 eV/atom

Cell: 3.4654 16.4597 17.7867 Å, 91.57 95.59 89.99°
Element x y z (fractional)
Se1 0.3642 0.1835 0.2789
Ti1 0.4409 0.5593 0.1191
Ti2 0.4350 0.1655 0.1343
Se2 0.4147 0.9973 0.1762
Se3 0.0294 0.3498 0.9460
Se4 0.8274 0.6353 0.3470
Ti3 0.6227 0.6673 0.7569
Ti4 0.2721 0.6564 0.4560
Ti5 0.3450 0.9312 0.3161
Se5 0.6387 0.8156 0.7210
Ti6 0.2620 0.8602 0.4735
Se6 0.6290 0.2181 0.7501
Ti7 0.5547 0.2461 0.8953
Ti8 0.5617 0.4411 0.8812
Ti9 0.9948 0.2037 0.0138
Se7 0.3765 0.7815 0.2501
Ti10 0.0924 0.1249 0.8214
Ti11 0.4734 0.3683 0.0577
Se8 0.1615 0.5846 0.6815
Ti12 0.7402 0.1391 0.5265
Ti13 0.1344 0.9338 0.7315
Ti14 0.0882 0.5506 0.8270
Ti15 0.9656 0.0448 0.0735
Ti16 0.8683 0.0653 0.2698
Ti17 0.2932 0.3854 0.4204
Ti18 0.1067 0.3367 0.7939
Se9 0.2636 0.2417 0.4815
Ti19 0.4802 0.9087 0.0436
Ti20 0.5232 0.0912 0.9576
Ti21 0.4473 0.7539 0.1049
Ti22 0.6586 0.0675 0.6850
Se10 0.5894 0.0021 0.8251
Se11 0.7395 0.7574 0.5179
Se12 0.9726 0.6504 0.0538
Ti23 0.0008 0.4999 0.0003
Ti24 0.7117 0.6137 0.5794
Ti25 0.6978 0.9001 0.5990
Se13 0.8437 0.4153 0.3182
Ti26 0.7334 0.3420 0.5439
Ti27 0.2236 0.4845 0.5591
Se14 0.0709 0.7111 0.8595
Ti28 0.8180 0.2506 0.3723
Se15 0.9320 0.2888 0.1408
Ti29 0.3812 0.3321 0.2435
Ti30 0.8215 0.7943 0.3600
Ti31 0.1839 0.2045 0.6402
Ti32 0.7820 0.5144 0.4410
Ti33 0.5679 0.8343 0.8658
Ti34 0.6480 0.4697 0.7123
Ti35 0.3585 0.5299 0.2869
Ti36 0.0074 0.7965 0.9865
Ti37 0.7821 0.9803 0.4380
Ti38 0.9128 0.8747 0.1789
Ti39 0.9157 0.4493 0.1725
Ti40 0.5289 0.6313 0.9422
Ti41 0.8977 0.6636 0.2061
Ti42 0.2188 0.0194 0.5628
Ti43 0.1849 0.7486 0.6272
Ti44 0.0384 0.9550 0.9276
Se16 0.1796 0.3636 0.6528
Ti45 0.3027 0.0992 0.4010

No. 2
Below is a relaxed TiSe crystal, with properties calculated at the PBE level.

Output
Theoretical density = 5.95 g/cm³
DFT formation energy = -1.3497 eV/atom

Cell: 3.4809 6.2594 6.4960 Å, 90.00 90.00 90.00°
Element x y z (fractional)
Ti1 0.2500 0.6939 0.5066
Ti2 0.7500 0.3061 0.4934
Ti3 0.2500 0.8061 0.0066
Se1 0.2500 0.4204 0.2165
Se2 0.7500 0.9204 0.2835
Se3 0.2500 0.0796 0.7165
Se4 0.7500 0.5796 0.7835
Ti4 0.7500 0.1939 0.9934

No. 3
Below is a relaxed Ti2Se crystal, with properties calculated at the PBE level.

Output
Theoretical density = 5.89 g/cm³
DFT formation energy = -0.9812 eV/atom

Cell: 3.4647 9.5106 17.9493 Å, 90.00 90.00 90.00°
Element x y z (fractional)
Ti1 0.7500 0.7544 0.2292
Ti2 0.7500 0.8889 0.9866
Se1 0.2500 0.9687 0.2385
Se2 0.2500 0.2179 0.6276
Ti3 0.2500 0.6502 0.6066
Ti4 0.2500 0.2456 0.7708
Ti5 0.7500 0.7456 0.7292
Se3 0.7500 0.4687 0.2615
Se4 0.2500 0.5313 0.7385
Ti6 0.2500 0.5818 0.3541
Ti7 0.2500 0.8870 0.4691
Ti8 0.2500 0.6130 0.9691
Ti9 0.2500 0.2544 0.2708
Se5 0.7500 0.7821 0.3724
Ti10 0.2500 0.1111 0.0134
Ti11 0.2500 0.8498 0.1066
Ti12 0.2500 0.3889 0.5134
Ti13 0.7500 0.3870 0.0309
Ti14 0.7500 0.4584 0.8398
Ti15 0.7500 0.3498 0.3934
Se6 0.7500 0.0313 0.7615
Ti16 0.7500 0.0818 0.1459
Ti17 0.7500 0.1502 0.8934
Ti18 0.7500 0.6111 0.4866
Se7 0.7500 0.8398 0.5750
Se8 0.2500 0.2821 0.1276
Ti19 0.7500 0.4182 0.6459
Ti20 0.2500 0.9182 0.8541
Se9 0.2500 0.3398 0.9250
Se10 0.2500 0.1602 0.4250
Se11 0.7500 0.7179 0.8724
Ti21 0.7500 0.1130 0.5309
Ti22 0.2500 0.9584 0.6602
Ti23 0.7500 0.0415 0.3398
Ti24 0.2500 0.5416 0.1602
Se12 0.7500 0.6602 0.0750

No. 4
Below is a relaxed TiSe crystal, with properties calculated at the PBE level.

Output
Theoretical density = 5.92 g/cm³
DFT formation energy = -1.0983 eV/atom

Cell: 3.4386 3.4386 6.9426 Å, 90.00 90.00 120.00°
Element x y z (fractional)
Se1 0.0000 0.0000 0.5000
Ti1 0.3333 0.6667 0.2500
Se2 0.0000 0.0000 0.0000
Ti2 0.6667 0.3333 0.7500

No. 5
Below is a relaxed TiSe crystal, with properties calculated at the PBE level.

Output
Theoretical density = 4.03 g/cm³
DFT formation energy = -1.0655 eV/atom

Cell: 4.1784 4.1784 5.9844 Å, 90.00 90.00 90.00°
Element x y z (fractional)
Se1 0.0000 0.5000 0.7606
Se2 0.5000 0.0000 0.2394
Ti1 0.0000 0.0000 0.0000
Ti2 0.5000 0.5000 0.0000

No. 6
Below is a relaxed TiSe crystal, with properties calculated at the PBE level.

Output
Theoretical density = 6.08 g/cm³
DFT formation energy = -1.3232 eV/atom

Cell: 3.4213 3.4213 6.8315 Å, 90.00 90.00 120.00°
Element x y z (fractional)
Ti1 0.0000 0.0000 0.0000
Se1 0.3333 0.6667 0.2500
Ti2 0.0000 0.0000 0.5000
Se2 0.6667 0.3333 0.7500

No. 7
Below is a relaxed Ti2Se crystal, with properties calculated at the PBE level.

Output
Theoretical density = 5.91 g/cm³
DFT formation energy = -0.9861 eV/atom

Cell: 3.4491 11.7408 14.5334 Å, 90.00 90.00 90.00°
Element x y z (fractional)
Se1 0.5000 0.1872 0.1501
Ti1 0.5000 0.0294 0.8921
Se2 0.5000 0.2557 0.9139
Ti2 0.5000 0.3542 0.5204
Ti3 0.0000 0.0906 0.2599
Ti4 0.5000 0.5906 0.2401
Ti5 0.5000 0.6886 0.7050
Se3 0.5000 0.7443 0.0861
Ti6 0.5000 0.9706 0.1079
Ti7 0.5000 0.3859 0.0742
Ti8 0.5000 0.6141 0.9258
Ti9 0.5000 0.0847 0.4238
Ti10 0.5000 0.6458 0.4796
Ti11 0.5000 0.9153 0.5762
Ti12 0.0000 0.1141 0.5742
Ti13 0.0000 0.4706 0.3921
Se4 0.0000 0.5680 0.7935
Ti14 0.0000 0.5847 0.0762
Se5 0.0000 0.6872 0.3499
Se6 0.0000 0.3128 0.6501
Ti15 0.0000 0.4153 0.9238
Se7 0.5000 0.0680 0.7065
Ti16 0.5000 0.4094 0.7599
Ti17 0.0000 0.8114 0.2050
Se8 0.0000 0.2443 0.4139
Se9 0.0000 0.4320 0.2065
Se10 0.5000 0.9320 0.2935
Se11 0.5000 0.8128 0.8499
Se12 0.0000 0.7557 0.5861
Ti18 0.0000 0.9094 0.7401
Ti19 0.0000 0.5294 0.6079
Ti20 0.0000 0.1886 0.7950
Ti21 0.0000 0.1458 0.0204
Ti22 0.5000 0.3114 0.2950
Ti23 0.0000 0.8542 0.9796
Ti24 0.0000 0.8859 0.4258

No. 8
Below is a relaxed Ti2Se3 crystal, with properties calculated at the PBE level.

Output
Theoretical density = 5.39 g/cm³
DFT formation energy = -1.4539 eV/atom

Cell: 6.2536 6.2536 12.1019 Å, 90.00 90.00 120.00°
Element x y z (fractional)
Se1 0.0054 0.3328 0.8718
Ti1 0.3333 0.6667 0.0049
Se2 0.6672 0.9946 0.6282
Ti2 0.6667 0.3333 0.9951
Se3 0.3273 0.9946 0.8718
Ti3 0.6667 0.3333 0.5049
Se4 0.9946 0.6672 0.1282
Se5 0.3328 0.3273 0.1282
Se6 0.6727 0.0054 0.1282
Se7 0.3273 0.3328 0.6282
Ti4 0.6667 0.3333 0.7500
Ti5 0.0000 0.0000 0.5000
Ti6 0.0000 0.0000 0.0000
Ti7 0.3333 0.6667 0.2500
Se8 0.0054 0.6727 0.6282
Se9 0.9946 0.3273 0.3718
Ti8 0.3333 0.6667 0.4951
Se10 0.6672 0.6727 0.8718
Se11 0.6727 0.6672 0.3718
Se12 0.3328 0.0054 0.3718

No. 9
Below is a relaxed Ti11Se4 crystal, with properties calculated at the PBE level.

Output
Theoretical density = 5.60 g/cm³
DFT formation energy = -0.7848 eV/atom

Cell: 12.9146 12.9146 19.2641 Å, 62.39 62.39 15.31°
Element x y z (fractional)
Ti1 0.0027 0.0027 0.7538
Ti2 0.8822 0.8822 0.7113
Ti3 0.9762 0.9762 0.4333
Se1 0.3907 0.3907 0.4681
Ti4 0.8547 0.8547 0.3964
Ti5 0.8823 0.8823 0.1985
Se2 0.4691 0.4691 0.6796
Ti6 0.7887 0.7887 0.9297
Se3 0.6965 0.6965 0.7987
Se4 0.4102 0.4102 0.2807
Se5 0.3092 0.3092 0.8150
Se6 0.6684 0.6684 0.0098
Ti7 0.2113 0.2113 0.0703
Se7 0.6908 0.6908 0.1850
Ti8 0.7294 0.7294 0.4656
Ti9 0.9171 0.9171 0.9367
Ti10 0.7107 0.7107 0.6544
Ti11 0.0000 0.0000 0.0000
Se8 0.5898 0.5898 0.7193
Ti12 0.0238 0.0238 0.5667
Ti13 0.4320 0.4320 0.5715
Ti14 0.1178 0.1178 0.2887
Ti15 0.2893 0.2893 0.3456
Ti16 0.5976 0.5976 0.1658
Ti17 0.1988 0.1988 0.9003
Ti18 0.7219 0.7219 0.2937
Ti19 0.5124 0.5124 0.8747
Ti20 0.4876 0.4876 0.1253
Ti21 0.5680 0.5680 0.4285
Ti22 0.2706 0.2706 0.5344
Se9 0.3316 0.3316 0.9902
Ti23 0.4024 0.4024 0.8342
Ti24 0.5968 0.5968 0.9352
Se10 0.5309 0.5309 0.3204
Ti25 0.8396 0.8396 0.5828
Ti26 0.2781 0.2781 0.7063
Ti27 0.1177 0.1177 0.8015
Ti28 0.1604 0.1604 0.4172
Ti29 0.8012 0.8012 0.0997
Ti30 0.1453 0.1453 0.6036
Se11 0.6093 0.6093 0.5319
Ti31 0.4032 0.4032 0.0648
Ti32 0.0829 0.0829 0.0633
Se12 0.3035 0.3035 0.2013
Ti33 0.9973 0.9973 0.2462

No. 10
Below is a relaxed Ti3Se4 crystal, with properties calculated at the PBE level.

Output
Theoretical density = 5.00 g/cm³
E above lowest polymorph = 0.00 kcal/mol of atoms
DFT formation energy = -1.4834 eV/atom

Cell: 9.9401 9.9401 3.5643 Å, 90.00 90.00 120.00°
Element x y z (fractional)
Ti1 0.5108 0.6405 0.7500
Ti2 0.6405 0.1297 0.2500
Se1 0.6992 0.6486 0.2500
Se2 0.9494 0.3008 0.2500
Se3 0.6667 0.3333 0.7500
Se4 0.3514 0.0506 0.2500
Se5 0.3333 0.6667 0.2500
Ti3 0.1297 0.4892 0.7500
Ti4 0.8703 0.5108 0.2500
Se6 0.6486 0.9494 0.7500
Ti5 0.3595 0.8703 0.7500
Se7 0.3008 0.3514 0.7500
Ti6 0.4892 0.3595 0.2500
Se8 0.0506 0.6992 0.7500

No. 11
Below is a relaxed Ti20Se19 crystal, with properties calculated at the PBE level.

Output
Theoretical density = 5.87 g/cm³
DFT formation energy = -1.2738 eV/atom

Cell: 17.1556 9.2727 7.3491 Å, 69.77 62.18 42.24°
Element x y z (fractional)
Ti1 0.3749 0.6927 0.4933
Ti2 0.6296 0.8027 0.9900
Se1 0.1373 0.9227 0.7173
Se2 0.5388 0.9208 0.7148
Ti3 0.7708 0.1925 0.0065
Ti4 0.8312 0.8031 0.9904
Se3 0.9367 0.9239 0.7155
Se4 0.9726 0.5782 0.2151
Ti5 0.5726 0.1896 0.0060
Ti6 0.7721 0.6933 0.4945
Ti7 0.2260 0.3050 0.5070
Se5 0.6637 0.0735 0.2830
Se6 0.3765 0.5772 0.2156
Se7 0.0590 0.0853 0.2812
Se8 0.8612 0.0854 0.2816
Ti8 0.8255 0.3110 0.5054
Se9 0.2242 0.4222 0.7838
Se10 0.5793 0.5767 0.2168
Se11 0.0205 0.4262 0.7892
Se12 0.4242 0.4212 0.7859
Se13 0.1753 0.5785 0.2154
Ti9 0.9698 0.2003 0.0012
Ti10 0.4278 0.3052 0.5068
Se14 0.4642 0.0740 0.2835
Se15 0.3395 0.9207 0.7144
Ti11 0.4311 0.8040 0.9932
Ti12 0.9724 0.6953 0.4919
Ti13 0.0279 0.8060 0.9944
Ti14 0.0255 0.3073 0.5077
Ti15 0.6274 0.3028 0.5073
Ti16 0.1719 0.6964 0.4938
Se16 0.2619 0.0773 0.2845
Ti17 0.1722 0.1929 0.0050
Ti18 0.3718 0.1924 0.0068
Se17 0.6245 0.4210 0.7854
Ti19 0.5750 0.6930 0.4952
Se18 0.8223 0.4263 0.7912
Ti20 0.2295 0.8067 0.9938
Se19 0.7395 0.9169 0.7154

No. 12
Below is a relaxed Ti8Se3 crystal, with properties calculated at the PBE level.

Output
Theoretical density = 5.61 g/cm³
DFT formation energy = -0.8034 eV/atom

Cell: 12.8863 12.8863 19.7412 Å, 58.10 58.10 15.34°
Element x y z (fractional)
Ti1 0.7755 0.7755 0.6039
Se1 0.0702 0.0702 0.8086
Ti2 0.2245 0.2245 0.3961
Ti3 0.1975 0.1975 0.2457
Ti4 0.9347 0.9347 0.0543
Ti5 0.5102 0.5102 0.0832
Ti6 0.0745 0.0745 0.4329
Ti7 0.9540 0.9540 0.7173
Se2 0.3696 0.3696 0.0356
Ti8 0.3493 0.3493 0.1962
Ti9 0.4380 0.4380 0.2871
Ti10 0.0653 0.0653 0.9457
Ti11 0.3336 0.3336 0.8468
Ti12 0.6507 0.6507 0.8038
Se3 0.5546 0.5546 0.1760
Ti13 0.4880 0.4880 0.4252
Se4 0.6304 0.6304 0.9644
Ti14 0.1277 0.1277 0.0668
Ti15 0.7904 0.7904 0.1300
Se5 0.3925 0.3925 0.6839
Se6 0.7580 0.7580 0.2808
Ti16 0.7019 0.7019 0.5357
Ti17 0.0460 0.0460 0.2827
Se7 0.2420 0.2420 0.7192
Ti18 0.9046 0.9046 0.4133
Ti19 0.2096 0.2096 0.8700
Ti20 0.9255 0.9255 0.5671
Se8 0.3675 0.3675 0.5306
Se9 0.6325 0.6325 0.4694
Ti21 0.8025 0.8025 0.7543
Ti22 0.2617 0.2617 0.0436
Se10 0.6075 0.6075 0.3161
Ti23 0.7383 0.7383 0.9564
Ti24 0.2981 0.2981 0.4643
Ti25 0.8315 0.8315 0.3410
Ti26 0.0954 0.0954 0.5867
Ti27 0.4898 0.4898 0.9168
Ti28 0.1685 0.1685 0.6590
Ti29 0.5620 0.5620 0.7129
Se11 0.9298 0.9298 0.1914
Se12 0.4454 0.4454 0.8240
Ti30 0.8723 0.8723 0.9332
Ti31 0.5120 0.5120 0.5748
Ti32 0.6664 0.6664 0.1532

| no. | total DFT energy (no corrections) (eV/cell) |
| --- | --- |
| 1 | -440.4 |
| 2 | -54.5 |
| 3 | -261.1 |
| 4 | -26.2 |
| 5 | -26.1 |
| 6 | -27.1 |
| 7 | -261.3 |
| 8 | -128.5 |
| 9 | -332.2 |
| 10 | -92.3 |
| 11 | -265.0 |
| 12 | -324.3 |